No. 1
GGA-PBE LaIn2Ir, relaxed; volume = 190.14 Å³/cell; uncorrected energy = -0.1984 hartree per atom
1.0
2.238 -5.183 0.000
2.238 5.183 0.000
0.000 0.000 8.197
In Ir La
4 2 2
Cartesian
2.238 -1.528 4.522
2.238 1.528 0.424
2.238 -1.528 7.773
2.238 1.528 3.675
2.238 -2.951 2.049
2.238 2.951 6.147
2.238 -4.491 6.147
2.238 4.491 2.049

***

No. 2
GGA-PBE AlVCo, relaxed; volume = 155.13 Å³/cell; uncorrected energy = -0.2490 hartree per atom
1.0
-0.514 4.545 -0.856
-0.538 -2.887 -3.610
-7.834 -0.579 1.630
Al Co V
4 4 4
Cartesian
-5.828 1.716 -0.656
-6.745 -0.836 -1.387
-3.050 1.921 -1.234
-2.148 -0.496 -2.343
-4.189 -0.587 -0.600
-6.378 -3.265 -2.375
-2.531 -2.981 -3.175
-4.701 0.219 -2.773
-0.270 1.050 -0.926
-0.518 3.286 -1.323
-4.451 -1.986 -2.354
-0.778 1.849 -3.080

***

No. 3
GGA-PBE Sr3CaSi8, relaxed; volume = 276.37 Å³/cell; corrected total energy (MP2020 scheme) = -0.332 Ry/atom
1.0
4.620 -4.592 0.000
4.620 4.592 0.000
0.055 0.000 6.514
Si Sr Ca
8 3 1
Cartesian
2.802 -2.275 4.559
7.391 0.000 5.179
3.501 2.979 3.562
1.904 0.000 1.334
3.532 -0.703 6.179
5.794 2.979 2.952
5.763 -0.703 0.334
6.493 -2.275 1.954
3.474 -3.439 1.636
4.620 2.286 0.000
1.202 1.153 4.878
4.648 0.000 3.257

***

No. 4
GGA-PBE HoBO3, relaxed; volume = 223.98 Å³/cell; corrected total energy (MP2020 scheme) = -0.643 Ry/atom
1.0
-5.595 -0.569 -2.446
3.696 -4.530 -2.577
-0.022 -2.840 5.726
Ho B O
4 4 12
Cartesian
0.549 -4.563 -1.923
-2.596 -5.701 -0.438
-2.470 -3.376 2.626
0.675 -2.237 1.140
-1.732 -2.315 -0.374
-0.188 -5.624 1.076
0.742 -3.344 3.829
-2.662 -4.595 -3.126
-1.623 -1.883 0.962
-0.802 -3.192 -0.833
-3.782 -3.940 0.475
-4.587 -4.379 2.638
1.861 -3.998 0.227
-2.749 -1.722 -1.112
-1.515 -5.250 -2.706
-0.298 -6.056 -0.260
-1.119 -4.746 1.536
0.828 -6.216 1.815
-0.405 -2.688 3.408
2.667 -3.560 -1.936